1.
Compound: PtC8S4F12
Source: the Materials Project
Functional: PBE
Structure: optimized geometry

Summary:
- Calculated density: 2.7 Mg/m³
- Formation enthalpy at 0 K: -29.73 kcal/mol of atoms
- Final energy: -0.2118 Ha/atom
- Symmetry: P2_1/c
- Spin magnetization: 0.0 μB per formula unit

The structure in POSCAR format:
```
PtC8S4F12
1.0
15.535 0.000 0.000
0.000 4.955 0.000
0.000 2.375 10.240
C F S Pt
16 24 8 2
Cartesian
8.988 1.933 7.490
13.173 1.213 1.716
8.992 6.030 8.751
6.547 5.396 2.750
14.315 0.746 2.370
10.130 2.400 6.836
6.544 1.299 1.489
11.741 0.910 2.151
14.311 4.843 3.631
3.794 6.419 8.089
5.405 4.929 3.404
11.562 2.098 7.271
3.973 5.232 2.969
2.363 6.117 8.524
1.221 6.584 7.871
1.224 2.486 6.609
4.163 2.742 8.399
3.605 1.554 3.279
0.032 3.123 6.448
6.332 0.544 0.375
9.950 5.061 8.719
11.725 2.259 8.618
5.585 2.269 1.521
10.847 1.735 1.546
15.503 4.206 3.793
11.578 1.072 3.498
9.203 6.786 9.865
3.957 6.258 6.742
3.080 4.407 3.574
13.353 3.873 3.599
12.456 2.922 6.666
2.183 3.456 6.641
7.736 1.936 1.328
14.100 5.598 4.745
11.930 5.775 6.962
11.373 4.588 1.841
7.800 5.394 8.913
1.436 1.731 5.495
3.811 5.070 1.622
4.688 5.594 8.694
15.206 6.164 8.430
2.223 5.142 9.911
7.438 2.352 6.931
5.545 3.954 4.791
8.097 4.977 3.310
9.990 3.375 5.450
0.329 1.165 1.810
13.313 2.188 0.329
0.000 2.477 0.000
7.768 3.665 5.120
```

***

2.
Compound: SbCSF11
Source: the Materials Project
Functional: PBE
Structure: optimized geometry

Summary:
- Calculated density: 2.8 Mg/m³
- Formation enthalpy at 0 K: -50.66 kcal/mol of atoms
- Final energy: -0.1686 Ha/atom
- Symmetry: C2/c
- Spin magnetization: 0.0 μB per formula unit

The structure in POSCAR format:
```
SbCSF11
1.0
-8.948 -0.905 -2.616
-7.144 -5.017 3.395
-3.734 10.271 8.144
F S Sb C
44 4 4 4
Cartesian
-11.803 4.442 8.091
-6.998 3.350 4.061
-7.744 -3.603 4.312
-7.676 5.384 7.001
-10.840 8.841 6.904
-7.476 -0.107 3.920
-8.986 -4.493 2.019
-11.089 -3.847 0.367
-4.229 0.606 -0.119
-7.603 5.426 4.408
-5.402 4.159 6.268
-12.083 7.952 4.611
-5.126 -1.100 2.370
-4.406 5.085 3.962
-15.598 3.742 9.042
-8.024 -0.094 0.832
-8.051 1.604 5.907
-17.611 5.134 7.958
-6.841 -2.239 1.603
-10.702 0.503 4.636
-14.789 -2.471 2.964
-13.626 3.208 7.298
-12.224 -1.077 4.515
-11.326 5.442 2.668
-14.701 5.449 6.553
-5.038 6.820 5.959
-2.216 -0.786 0.966
-8.738 8.195 8.556
-12.986 6.587 7.320
-8.500 -1.093 6.256
-12.351 4.456 5.003
-11.776 2.745 3.016
-14.425 0.190 2.656
-16.740 2.854 6.758
-6.201 1.141 1.625
-12.150 -1.036 1.922
-15.421 -0.737 4.961
-10.518 0.634 2.078
-9.309 3.714 6.845
-9.809 -2.216 3.178
-9.124 3.846 4.287
-3.087 1.495 2.165
-10.017 6.565 5.745
-12.829 0.999 4.862
-13.293 4.172 8.495
-12.063 0.489 2.300
-6.533 0.177 0.428
-7.764 3.860 6.623
-17.434 3.315 8.489
-2.393 1.034 0.435
-15.948 -0.951 3.145
-3.878 5.300 5.779
-11.943 0.202 4.279
-7.884 4.147 4.644
-5.802 -1.478 1.288
-14.025 5.826 7.635
```